Below is an optimized crystal structure of MgFe6O6F6, with properties calculated at the GGA+U level. Values from VASP.

Structure (Quantum ESPRESSO input):
```
&SYSTEM
  ibrav = 0, nat = 19, ntyp = 4
/
ATOMIC_SPECIES
Mg 24.30 Mg.upf
Fe 55.84 Fe.upf
O 16.00 O.upf
F 19.00 F.upf
CELL_PARAMETERS angstrom
5.192 0.000 0.000
-0.051 5.321 0.000
-0.016 -0.345 8.815
ATOMIC_POSITIONS angstrom
Mg 0.000 0.000 0.000
Fe 0.093 2.109 7.244
Fe 2.022 4.722 5.874
Fe 2.643 0.039 8.805
Fe 2.836 0.138 2.998
Fe 4.518 2.842 1.530
Fe 4.617 2.855 4.474
O 0.817 3.254 5.768
O 1.292 0.349 7.382
O 3.360 4.320 4.449
O 3.646 4.573 1.409
O 3.807 1.791 2.977
O 4.192 1.745 0.015
F 0.626 3.409 2.936
F 0.846 3.600 0.209
F 1.341 0.660 1.591
F 1.408 0.566 4.378
F 3.637 4.243 7.339
F 3.853 1.598 5.769
```

Calculated values
* size of the total moment: 28.0 Bohr magnetons per cell
* space group: P1 (1)
* ΔE to the lowest computed polymorph: 0.048 eV per atom
* total DFT energy (no corrections): -5.95 eV per atom

Below is an optimized crystal structure of BaSrCaCrO6, with properties calculated at the GGA+U level. Values from VASP.

Structure (Quantum ESPRESSO input):
```
&SYSTEM
  ibrav = 0, nat = 10, ntyp = 5
/
ATOMIC_SPECIES
Ba 137.33 Ba.upf
Sr 87.62 Sr.upf
Ca 40.08 Ca.upf
Cr 52.00 Cr.upf
O 16.00 O.upf
CELL_PARAMETERS angstrom
0.000 4.120 4.120
4.120 0.000 4.120
4.120 4.120 0.000
ATOMIC_POSITIONS angstrom
Ba 0.000 0.000 0.000
Sr 4.120 4.120 4.120
Ca 6.181 6.181 6.181
Cr 2.060 2.060 2.060
O 2.060 2.060 0.205
O 2.060 0.205 2.060
O 3.915 2.060 2.060
O 0.205 2.060 2.060
O 2.060 3.915 2.060
O 2.060 2.060 3.915
```

Calculated values
* size of the total moment: 0.0 Bohr magnetons per cell
* space group: F-43m (216)
* total DFT energy (no corrections): -6.47 eV per atom

Below is an optimized crystal structure of FeNiP2O8, with properties calculated at the GGA+U level. Values from VASP.

Structure (Quantum ESPRESSO input):
```
&SYSTEM
  ibrav = 0, nat = 36, ntyp = 4
/
ATOMIC_SPECIES
Fe 55.84 Fe.upf
Ni 58.69 Ni.upf
P 30.97 P.upf
O 16.00 O.upf
CELL_PARAMETERS angstrom
4.327 2.498 6.794
-4.327 2.498 6.794
0.000 -4.996 6.794
ATOMIC_POSITIONS angstrom
Fe 0.000 0.000 0.000
Fe 0.000 0.000 2.990
Fe 0.000 0.000 10.214
Ni 0.000 0.000 7.312
Ni 0.000 0.000 13.112
Ni 0.000 0.000 17.494
P -3.031 -0.263 8.523
P -1.285 -2.756 11.923
P 1.744 -2.493 8.523
P -1.744 2.491 11.923
P 1.287 2.757 8.523
P 3.029 0.265 11.923
O -0.728 -1.537 3.894
O -3.563 -0.942 9.767
O -3.649 1.173 8.283
O -2.823 -2.592 12.178
O -1.025 -1.432 6.397
O -0.967 1.399 3.894
O 0.809 -3.747 8.283
O -1.501 -0.046 8.779
O -0.727 1.604 6.397
O 1.695 0.138 3.894
O -0.700 -1.337 11.632
O 0.790 -1.277 8.779
O -1.755 0.128 14.046
O 1.753 -0.172 6.397
O -0.807 1.275 11.632
O 0.710 1.323 8.779
O 2.597 -2.615 9.767
O 0.767 -1.584 14.046
O 1.508 0.062 11.632
O -0.834 3.740 12.178
O 0.966 3.557 9.767
O 0.988 1.456 14.046
O 2.841 2.574 8.283
O 3.656 -1.148 12.178
```

Calculated values
* size of the total moment: 24.0 Bohr magnetons per cell
* space group: R3 (146)
* ΔE to the lowest computed polymorph: 0.039 eV per atom
* total DFT energy (no corrections): -6.62 eV per atom

Below is an optimized crystal structure of K2Mn2Zn4Si4O15, with properties calculated at the GGA+U level. Values from VASP.

Structure (Quantum ESPRESSO input):
```
&SYSTEM
  ibrav = 0, nat = 54, ntyp = 5
/
ATOMIC_SPECIES
Zn 65.41 Zn.upf
O 16.00 O.upf
K 39.10 K.upf
Mn 54.94 Mn.upf
Si 28.09 Si.upf
CELL_PARAMETERS angstrom
-1.241 7.916 5.250
-10.141 0.001 2.903
5.069 -0.056 8.128
ATOMIC_POSITIONS angstrom
Zn -1.861 4.837 13.099
O -4.248 7.171 11.557
K -8.348 3.014 7.940
O -6.743 5.275 6.844
Mn -3.018 6.672 6.489
Zn -2.329 7.850 11.463
O -6.128 1.324 8.991
O -9.148 5.341 9.026
Si -5.611 5.303 8.036
O -0.819 0.689 4.367
Zn -4.212 0.009 4.882
O -6.230 6.170 13.144
K -3.277 3.014 6.489
O -3.637 2.519 9.107
Zn -7.399 7.850 12.915
Si -4.572 6.330 12.965
O -1.186 3.046 3.086
O -1.058 1.323 7.540
Zn -9.751 3.023 4.697
K -2.384 4.846 9.605
Si -0.113 2.557 8.076
O -3.925 7.118 14.231
K -7.455 4.846 11.056
O -5.890 0.689 5.818
O -1.159 6.170 11.693
Mn -2.165 1.188 9.468
O -7.031 0.742 3.378
O -6.256 3.047 4.537
Mn -8.088 6.671 7.941
O -3.341 1.690 4.068
O -6.129 6.536 8.991
O -5.514 2.585 11.137
O 1.189 4.813 11.386
O -4.077 5.341 7.574
O -1.059 6.536 7.540
Si -0.541 5.302 6.584
Si 0.499 6.330 11.514
Si -6.910 1.530 4.794
Mn 2.905 1.189 8.015
Zn -4.681 3.022 3.246
O 1.432 2.520 7.655
O -8.412 1.690 5.519
O 1.145 7.118 12.779
Si -1.839 1.529 3.342
Zn 3.210 4.837 11.648
O -3.881 4.813 12.837
O -1.673 5.275 5.393
O -0.444 2.585 9.686
O 0.823 7.170 10.106
O -1.960 0.742 1.926
Si -5.183 2.557 9.527
O -5.896 3.930 8.924
O -0.826 3.930 7.472
Zn 0.858 0.009 3.431
```

Calculated values
* size of the total moment: 0.0 Bohr magnetons per cell
* total DFT energy (no corrections): -6.55 eV per atom

Below is an optimized crystal structure of K3VF6, with properties calculated at the GGA+U level. Values from VASP.

Structure (Quantum ESPRESSO input):
```
&SYSTEM
  ibrav = 0, nat = 10, ntyp = 3
/
ATOMIC_SPECIES
K 39.10 K.upf
V 50.94 V.upf
F 19.00 F.upf
CELL_PARAMETERS angstrom
0.000 4.469 4.469
4.469 0.000 4.469
4.469 4.469 0.000
ATOMIC_POSITIONS angstrom
K 0.000 0.000 0.000
K 2.235 2.235 2.235
K 6.704 6.704 6.704
V 4.469 4.469 4.469
F 4.469 4.469 2.498
F 4.469 2.498 4.469
F 6.440 4.469 4.469
F 2.498 4.469 4.469
F 4.469 6.440 4.469
F 4.469 4.469 6.440
```

Calculated values
* size of the total moment: 2.0 Bohr magnetons per cell
* space group: Fm-3m (225)
* total DFT energy (no corrections): -5.00 eV per atom

Below is an optimized crystal structure of Li9Mn7O16, with properties calculated at the GGA+U level. Values from VASP.

Structure (Quantum ESPRESSO input):
```
&SYSTEM
  ibrav = 0, nat = 32, ntyp = 3
/
ATOMIC_SPECIES
Li 6.94 Li.upf
Mn 54.94 Mn.upf
O 16.00 O.upf
CELL_PARAMETERS angstrom
6.506 0.000 0.000
-2.210 6.557 0.000
-3.179 -1.428 6.950
ATOMIC_POSITIONS angstrom
Li 0.000 0.000 0.000
Li -0.765 2.588 1.287
Li -3.504 5.173 4.843
Li 0.432 5.234 0.417
Li -0.012 1.219 3.901
Li 1.129 3.909 3.050
Li 0.686 -0.105 6.534
Li 4.621 -0.045 2.108
Li 1.882 2.541 5.664
Mn -2.694 2.564 3.475
Mn -1.518 5.256 2.578
Mn -1.972 1.146 6.106
Mn 1.884 1.268 1.723
Mn -0.766 3.860 5.227
Mn 3.090 3.983 0.844
Mn 2.635 -0.128 4.373
O -1.569 4.541 0.763
O -2.033 0.548 4.252
O -2.614 3.113 5.360
O 0.096 0.601 1.974
O -0.881 3.264 3.338
O -1.276 -0.624 6.789
O 0.768 -0.713 4.461
O 1.258 3.283 0.975
O -0.141 1.846 5.976
O 0.349 5.841 2.489
O 2.393 5.752 0.161
O 1.998 1.864 3.613
O 1.021 4.527 4.976
O 3.731 2.016 1.590
O 3.150 4.581 2.699
O 2.686 0.587 6.188
```

Calculated values
* size of the total moment: 26.0 Bohr magnetons per cell
* space group: P-1 (2)
* ΔE to the lowest computed polymorph: 0.020 eV per atom
* total DFT energy (no corrections): -6.43 eV per atom